*w*
! LiCuCO3, optimized geometry, DFT PBE; values from VASP
! Symmetry: P-1, No. 2
&SYSTEM
  ibrav = 0, nat = 12, ntyp = 4
/
ATOMIC_SPECIES
Li 6.94 Li.upf
Cu 63.55 Cu.upf
C 12.01 C.upf
O 16.00 O.upf
ATOMIC_POSITIONS crystal
Li 0.244 0.635 0.669
Li 0.756 0.365 0.331
Cu 0.601 0.261 0.772
Cu 0.399 0.739 0.228
C 0.935 0.932 0.740
C 0.065 0.068 0.260
O 0.676 0.690 0.739
O 0.195 0.902 0.786
O 0.930 0.206 0.692
O 0.070 0.794 0.308
O 0.805 0.098 0.214
O 0.324 0.310 0.261
CELL_PARAMETERS angstrom
-2.958 0.356 4.061
0.009 -4.369 -2.640
5.237 0.490 3.735



*x*
! LiCuCO3, optimized geometry, DFT PBE; values from VASP
! Symmetry: P-1, No. 2
&SYSTEM
  ibrav = 0, nat = 12, ntyp = 4
/
ATOMIC_SPECIES
Li 6.94 Li.upf
Cu 63.55 Cu.upf
C 12.01 C.upf
O 16.00 O.upf
ATOMIC_POSITIONS crystal
Li 0.669 0.635 0.424
Li 0.331 0.365 0.576
Cu 0.772 0.261 0.171
Cu 0.228 0.739 0.829
C 0.740 0.932 0.805
C 0.260 0.068 0.195
O 0.739 0.690 0.063
O 0.786 0.902 0.591
O 0.692 0.206 0.762
O 0.308 0.794 0.238
O 0.214 0.098 0.409
O 0.261 0.310 0.937
CELL_PARAMETERS angstrom
6.222 1.201 2.015
-1.534 1.968 4.453
-2.540 -2.953 3.194



Most stable = *x*



*w*
! Eu2MgSe4, optimized geometry, DFT PBE; values from VASP
! Symmetry: I-42d, No. 122
&SYSTEM
  ibrav = 0, nat = 14, ntyp = 3
/
ATOMIC_SPECIES
Eu 151.96 Eu.upf
Mg 24.30 Mg.upf
Se 78.96 Se.upf
ATOMIC_POSITIONS crystal
Eu 0.875 0.750 0.375
Eu 0.500 0.125 0.875
Eu 0.375 0.500 0.625
Eu 0.250 0.625 0.125
Mg 0.000 0.000 0.000
Mg 0.750 0.250 0.500
Se 0.510 0.386 0.277
Se 0.767 0.490 0.876
Se 0.109 0.233 0.723
Se 0.614 0.891 0.124
Se 0.240 0.017 0.376
Se 0.983 0.359 0.223
Se 0.641 0.864 0.624
Se 0.136 0.760 0.777
CELL_PARAMETERS angstrom
0.831 2.906 7.100
-5.546 4.346 -3.146
-1.848 -7.491 0.097



*x*
! Eu2MgSe4, optimized geometry, DFT PBE; values from VASP
! Symmetry: Pca2_1, No. 29
&SYSTEM
  ibrav = 0, nat = 56, ntyp = 3
/
ATOMIC_SPECIES
Eu 151.96 Eu.upf
Mg 24.30 Mg.upf
Se 78.96 Se.upf
ATOMIC_POSITIONS crystal
Eu 0.109 0.884 0.685
Eu 0.891 0.116 0.185
Eu 0.391 0.884 0.185
Eu 0.609 0.116 0.685
Eu 0.127 0.382 0.324
Eu 0.873 0.618 0.824
Eu 0.373 0.382 0.824
Eu 0.627 0.618 0.324
Eu 0.136 0.630 0.991
Eu 0.864 0.370 0.491
Eu 0.364 0.630 0.491
Eu 0.636 0.370 0.991
Eu 0.137 0.128 0.993
Eu 0.863 0.872 0.493
Eu 0.363 0.128 0.493
Eu 0.637 0.872 0.993
Mg 0.110 0.381 0.693
Mg 0.890 0.619 0.193
Mg 0.390 0.381 0.193
Mg 0.610 0.619 0.693
Mg 0.126 0.878 0.319
Mg 0.874 0.122 0.819
Mg 0.374 0.878 0.819
Mg 0.626 0.122 0.319
Se 0.010 0.882 0.883
Se 0.990 0.118 0.383
Se 0.490 0.882 0.383
Se 0.510 0.118 0.883
Se 0.025 0.385 0.128
Se 0.975 0.615 0.628
Se 0.475 0.385 0.628
Se 0.525 0.615 0.128
Se 0.018 0.368 0.873
Se 0.982 0.632 0.373
Se 0.482 0.368 0.373
Se 0.518 0.632 0.873
Se 0.039 0.866 0.140
Se 0.961 0.134 0.640
Se 0.461 0.866 0.640
Se 0.539 0.134 0.140
Se 0.209 0.879 0.496
Se 0.791 0.121 0.996
Se 0.291 0.879 0.996
Se 0.709 0.121 0.496
Se 0.210 0.380 0.525
Se 0.790 0.620 0.025
Se 0.290 0.380 0.025
Se 0.710 0.620 0.525
Se 0.233 0.133 0.771
Se 0.767 0.867 0.271
Se 0.267 0.133 0.271
Se 0.733 0.867 0.771
Se 0.234 0.635 0.774
Se 0.766 0.365 0.274
Se 0.266 0.635 0.274
Se 0.734 0.365 0.774
CELL_PARAMETERS angstrom
13.875 0.000 0.000
0.000 8.186 0.000
0.000 0.000 13.195



Most stable = *x*



*w*
! Gd, optimized geometry, DFT PBE; values from VASP
! Symmetry: R-3m, No. 166
&SYSTEM
  ibrav = 0, nat = 3, ntyp = 1
/
ATOMIC_SPECIES
Gd 157.25 Gd.upf
ATOMIC_POSITIONS crystal
Gd 0.000 0.000 0.000
Gd 0.778 0.778 0.778
Gd 0.222 0.222 0.222
CELL_PARAMETERS angstrom
8.740 -1.812 0.000
8.740 1.812 0.000
8.365 0.000 3.116



*x*
! Gd, optimized geometry, DFT PBE; values from VASP
! Symmetry: Im-3m, No. 229
&SYSTEM
  ibrav = 0, nat = 1, ntyp = 1
/
ATOMIC_SPECIES
Gd 157.25 Gd.upf
ATOMIC_POSITIONS crystal
Gd 0.000 0.000 0.000
CELL_PARAMETERS angstrom
-2.018 2.018 2.018
2.018 -2.018 2.018
2.018 2.018 -2.018



Most stable = *w*



*w*
! Al, optimized geometry, DFT PBE; values from VASP
! Symmetry: P6_3/mmc, No. 194
&SYSTEM
  ibrav = 0, nat = 4, ntyp = 1
/
ATOMIC_SPECIES
Al 26.98 Al.upf
ATOMIC_POSITIONS crystal
Al 0.000 0.000 0.000
Al 0.333 0.667 0.250
Al 0.000 0.000 0.500
Al 0.667 0.333 0.750
CELL_PARAMETERS angstrom
1.429 -2.474 0.000
1.429 2.474 0.000
0.000 0.000 9.297



*x*
! Al, optimized geometry, DFT PBE; values from VASP
! Symmetry: Fm-3m, No. 225
&SYSTEM
  ibrav = 0, nat = 1, ntyp = 1
/
ATOMIC_SPECIES
Al 26.98 Al.upf
ATOMIC_POSITIONS crystal
Al 0.000 0.000 0.000
CELL_PARAMETERS angstrom
0.000 2.019 2.019
2.019 0.000 2.019
2.019 2.019 0.000



*y*
! Al, optimized geometry, DFT PBE; values from VASP
! Symmetry: P1, No. 1
&SYSTEM
  ibrav = 0, nat = 100, ntyp = 1
/
ATOMIC_SPECIES
Al 26.98 Al.upf
ATOMIC_POSITIONS crystal
Al 0.010 0.737 0.304
Al 0.358 0.033 0.358
Al 0.648 0.409 0.629
Al 0.497 0.690 0.921
Al 0.813 0.309 0.000
Al 0.786 0.859 0.939
Al 0.988 0.315 0.306
Al 0.313 0.178 0.705
Al 0.946 0.525 0.264
Al 0.253 0.048 0.172
Al 0.372 0.305 0.956
Al 0.736 0.622 0.214
Al 0.749 0.660 0.646
Al 0.105 0.464 0.445
Al 0.144 0.011 0.988
Al 0.703 0.660 0.001
Al 0.185 0.430 0.227
Al 0.182 0.214 0.897
Al 0.723 0.024 0.190
Al 0.128 0.226 0.125
Al 0.688 0.690 0.433
Al 0.676 0.162 0.782
Al 0.150 0.775 0.952
Al 0.364 0.375 0.358
Al 0.022 0.238 0.500
Al 0.679 0.535 0.819
Al 0.925 0.960 0.065
Al 0.130 0.982 0.361
Al 0.804 0.207 0.590
Al 0.253 0.413 0.784
Al 0.451 0.677 0.479
Al 0.417 0.835 0.245
Al 0.789 0.206 0.367
Al 0.090 0.715 0.729
Al 0.392 0.856 0.826
Al 0.633 0.830 0.142
Al 0.542 0.149 0.976
Al 0.606 0.346 0.915
Al 0.894 0.510 0.043
Al 0.898 0.180 0.153
Al 0.195 0.088 0.542
Al 0.418 0.439 0.139
Al 0.722 0.971 0.648
Al 0.093 0.610 0.114
Al 0.304 0.794 0.644
Al 0.018 0.912 0.846
Al 0.296 0.587 0.365
Al 0.584 0.326 0.407
Al 0.798 0.826 0.278
Al 0.036 0.501 0.685
Al 0.943 0.033 0.513
Al 0.394 0.212 0.493
Al 0.102 0.703 0.495
Al 0.491 0.647 0.141
Al 0.562 0.825 0.601
Al 0.519 0.628 0.682
Al 0.644 0.465 0.090
Al 0.437 0.445 0.572
Al 0.279 0.834 0.435
Al 0.407 0.990 0.570
Al 0.103 0.884 0.162
Al 0.628 0.242 0.163
Al 0.297 0.644 0.803
Al 0.889 0.059 0.746
Al 0.310 0.591 0.021
Al 0.505 0.033 0.761
Al 0.558 0.883 0.387
Al 0.336 0.849 0.047
Al 0.088 0.902 0.609
Al 0.218 0.994 0.755
Al 0.059 0.199 0.715
Al 0.003 0.369 0.868
Al 0.814 0.334 0.776
Al 0.631 0.825 0.803
Al 0.913 0.735 0.068
Al 0.488 0.013 0.138
Al 0.592 0.146 0.568
Al 0.876 0.639 0.832
Al 0.245 0.567 0.595
Al 0.159 0.410 0.012
Al 0.206 0.220 0.346
Al 0.242 0.720 0.216
Al 0.484 0.291 0.732
Al 0.081 0.574 0.895
Al 0.912 0.602 0.476
Al 0.732 0.000 0.430
Al 0.877 0.824 0.716
Al 0.355 0.062 0.946
Al 0.743 0.473 0.428
Al 0.544 0.522 0.319
Al 0.867 0.823 0.494
Al 0.974 0.143 0.929
Al 0.882 0.415 0.577
Al 0.559 0.116 0.341
Al 0.759 0.087 0.974
Al 0.787 0.382 0.223
Al 0.452 0.487 0.843
Al 0.926 0.012 0.289
Al 0.205 0.335 0.583
Al 0.385 0.225 0.172
CELL_PARAMETERS angstrom
11.950 0.464 0.763
0.474 12.323 -0.290
0.787 -0.293 12.246



Most stable = *x*



*w*
! Al4B2O9, optimized geometry, DFT PBE; values from VASP
! Symmetry: P-1, No. 2
&SYSTEM
  ibrav = 0, nat = 60, ntyp = 3
/
ATOMIC_SPECIES
Al 26.98 Al.upf
B 10.81 B.upf
O 16.00 O.upf
ATOMIC_POSITIONS crystal
Al 0.000 0.500 0.000
Al 0.000 0.500 0.500
Al 0.172 0.959 0.778
Al 0.231 0.209 0.558
Al 0.219 0.361 0.821
Al 0.318 0.713 0.613
Al 0.389 0.807 0.901
Al 0.158 0.874 0.124
Al 0.500 0.500 0.500
Al 0.500 0.500 0.000
Al 0.842 0.126 0.876
Al 0.611 0.193 0.099
Al 0.682 0.287 0.387
Al 0.781 0.639 0.179
Al 0.769 0.791 0.442
Al 0.828 0.041 0.222
B 0.252 0.242 0.166
B 0.047 0.301 0.348
B 0.485 0.768 0.152
B 0.284 0.773 0.342
B 0.716 0.227 0.658
B 0.515 0.232 0.848
B 0.953 0.699 0.652
B 0.748 0.758 0.834
O 0.054 0.590 0.663
O 0.193 0.893 0.941
O 0.018 0.638 0.118
O 0.165 0.834 0.299
O 0.072 0.195 0.252
O 0.092 0.130 0.825
O 0.317 0.403 0.131
O 0.113 0.314 0.462
O 0.308 0.410 0.646
O 0.294 0.573 0.920
O 0.235 0.667 0.455
O 0.350 0.842 0.739
O 0.398 0.837 0.076
O 0.465 0.783 0.281
O 0.331 0.121 0.135
O 0.453 0.296 0.446
O 0.206 0.009 0.606
O 0.595 0.677 0.103
O 0.405 0.323 0.897
O 0.794 0.991 0.394
O 0.547 0.704 0.554
O 0.669 0.879 0.865
O 0.535 0.217 0.719
O 0.602 0.163 0.924
O 0.650 0.158 0.261
O 0.765 0.333 0.545
O 0.706 0.427 0.080
O 0.692 0.590 0.354
O 0.887 0.686 0.538
O 0.683 0.597 0.869
O 0.908 0.870 0.175
O 0.928 0.805 0.748
O 0.835 0.166 0.701
O 0.982 0.362 0.882
O 0.807 0.107 0.059
O 0.946 0.410 0.337
CELL_PARAMETERS angstrom
7.556 -0.124 0.557
-2.701 8.026 0.005
0.768 0.275 10.631



*x*
! Al4B2O9, optimized geometry, DFT PBE; values from VASP
! Symmetry: C2/m, No. 12
&SYSTEM
  ibrav = 0, nat = 60, ntyp = 3
/
ATOMIC_SPECIES
Al 26.98 Al.upf
B 10.81 B.upf
O 16.00 O.upf
ATOMIC_POSITIONS crystal
Al 0.189 0.622 0.159
Al 0.811 0.378 0.841
Al 0.327 0.347 0.339
Al 0.673 0.653 0.661
Al 0.430 0.141 0.068
Al 0.570 0.859 0.932
Al 0.500 0.500 0.000
Al 0.000 0.500 0.000
Al 0.256 0.000 0.244
Al 0.744 0.000 0.244
Al 0.744 0.000 0.756
Al 0.256 0.000 0.756
Al 0.135 0.731 0.341
Al 0.865 0.269 0.659
Al 0.500 0.500 0.500
Al 0.000 0.500 0.500
B 0.622 0.756 0.117
B 0.378 0.244 0.883
B 0.609 0.781 0.390
B 0.391 0.219 0.610
B 0.897 0.206 0.104
B 0.103 0.794 0.896
B 0.866 0.267 0.364
B 0.134 0.733 0.636
O 0.235 0.529 0.268
O 0.765 0.471 0.732
O 0.462 0.642 0.106
O 0.897 0.642 0.106
O 0.538 0.358 0.894
O 0.103 0.358 0.894
O 0.362 0.846 0.357
O 0.793 0.846 0.357
O 0.638 0.154 0.643
O 0.207 0.154 0.643
O 0.205 0.591 0.437
O 0.795 0.409 0.563
O 0.149 0.133 0.135
O 0.718 0.133 0.135
O 0.851 0.867 0.865
O 0.282 0.867 0.865
O 0.675 0.650 0.453
O 0.325 0.350 0.547
O 0.169 0.662 0.957
O 0.831 0.338 0.043
O 0.428 0.144 0.282
O 0.572 0.856 0.718
O 0.572 0.856 0.200
O 0.428 0.144 0.800
O 0.045 0.337 0.398
O 0.619 0.337 0.398
O 0.955 0.663 0.602
O 0.381 0.663 0.602
O 0.931 0.138 0.299
O 0.069 0.862 0.701
O 0.304 0.393 0.062
O 0.696 0.607 0.938
O 0.078 0.844 0.225
O 0.922 0.156 0.775
O 0.555 0.889 0.049
O 0.445 0.111 0.951
CELL_PARAMETERS angstrom
0.000 -5.593 0.000
-7.486 -2.796 0.138
0.038 0.000 -15.165



Most stable = *x*